1.
DFT (PBE) results for HgCl2 after structural relaxation.

* volume: 32.65 A^3/atom
* symmetry: Pnma, No. 62
* DFT total energy: -1.9341 eV per atom

```
HgCl2
1.0
-1.952 3.837 -0.739
0.268 -1.115 -6.503
-12.140 -6.071 0.540
Cl Hg
8 4
direct
0.389 0.250 0.741
0.111 0.250 0.241
0.611 0.750 0.259
0.725 0.250 0.007
0.775 0.250 0.507
0.275 0.750 0.993
0.889 0.750 0.759
0.225 0.750 0.493
0.943 0.750 0.126
0.443 0.250 0.374
0.057 0.250 0.874
0.557 0.750 0.626
```


2.
DFT (PBE) results for Hg3S2ICl after structural relaxation.

* size of the total moment: 0.01 Bohr magnetons per cell
* volume: 31.42 A^3/atom
* symmetry: C2/m, No. 12
* DFT total energy: -2.0826 eV per atom

```
Hg3S2ICl
1.0
-10.512 0.180 0.841
-6.744 -6.674 -4.604
-7.814 -9.055 5.992
Hg S I Cl
12 8 4 4
direct
0.286 0.714 0.500
0.448 0.013 0.795
0.889 0.889 0.753
0.013 0.448 0.795
0.111 0.111 0.247
0.000 0.500 0.500
0.714 0.286 0.500
0.500 0.000 0.500
0.552 0.987 0.205
0.987 0.552 0.205
0.596 0.596 0.788
0.404 0.404 0.212
0.369 0.880 0.748
0.120 0.631 0.252
0.880 0.369 0.748
0.631 0.120 0.252
0.138 0.625 0.749
0.375 0.862 0.251
0.862 0.375 0.251
0.625 0.138 0.749
0.123 0.123 0.506
0.373 0.373 0.000
0.627 0.627 0.000
0.877 0.877 0.494
0.854 0.854 0.023
0.146 0.146 0.977
0.628 0.628 0.478
0.372 0.372 0.522
```


3.
DFT (PBE) results for In2Hg6P3Cl9 after structural relaxation.

* size of the total moment: 0.00 Bohr magnetons per cell
* volume: 28.64 A^3/atom
* symmetry: P2_1, No. 4
* DFT total energy: -2.6393 eV per atom

```
In2Hg6P3Cl9
1.0
-1.413 7.151 -8.160
-6.904 -6.545 -4.540
-10.604 1.256 2.936
P In Hg Cl
6 4 12 18
direct
0.399 0.275 0.780
0.057 0.982 0.767
0.722 0.262 0.481
0.222 0.738 0.519
0.557 0.018 0.233
0.899 0.725 0.220
0.745 0.692 0.670
0.875 0.360 0.910
0.375 0.640 0.090
0.245 0.308 0.330
0.885 0.120 0.629
0.482 0.171 0.008
0.060 0.721 0.376
0.560 0.279 0.624
0.640 0.146 0.352
0.725 0.869 0.224
0.385 0.880 0.371
0.811 0.488 0.326
0.225 0.131 0.776
0.982 0.829 0.992
0.311 0.512 0.674
0.140 0.854 0.648
0.594 0.691 0.097
0.094 0.309 0.903
0.854 0.301 0.152
0.921 0.635 0.848
0.372 0.120 0.515
0.652 0.879 0.713
0.354 0.699 0.848
0.595 0.654 0.518
0.787 0.136 0.915
0.872 0.880 0.485
0.373 0.513 0.359
0.152 0.121 0.287
0.287 0.864 0.085
0.653 0.468 0.870
0.153 0.532 0.130
0.095 0.346 0.482
0.421 0.365 0.152
0.873 0.487 0.641
```


4.
DFT (PBE) results for Rb2InHgCl6 after structural relaxation.

* size of the total moment: 0.01 Bohr magnetons per cell
* volume: 31.63 A^3/atom
* symmetry: Fm-3m, No. 225
* DFT total energy: -2.9014 eV per atom

```
Rb2InHgCl6
1.0
0.000 5.408 5.408
5.408 0.000 5.408
5.408 5.408 0.000
Hg Rb Cl In
1 2 6 1
direct
0.500 0.500 0.500
0.750 0.750 0.750
0.250 0.250 0.250
0.238 0.762 0.238
0.238 0.238 0.762
0.762 0.238 0.238
0.762 0.238 0.762
0.762 0.762 0.238
0.238 0.762 0.762
0.000 0.000 0.000
```


5.
DFT (PBE) results for K2HgCl4 after structural relaxation.

* volume: 30.72 A^3/atom
* symmetry: Pbam, No. 55
* DFT total energy: -2.7991 eV per atom

```
K2HgCl4
1.0
7.892 0.000 0.000
0.000 9.078 0.000
0.000 0.000 12.005
Cl Hg K
16 4 8
direct
0.117 0.248 0.192
0.383 0.248 0.692
0.883 0.248 0.808
0.774 0.000 0.061
0.226 0.000 0.939
0.117 0.752 0.192
0.617 0.248 0.308
0.883 0.752 0.808
0.731 0.500 0.554
0.269 0.500 0.446
0.769 0.500 0.054
0.231 0.500 0.946
0.274 0.000 0.439
0.726 0.000 0.561
0.383 0.752 0.692
0.617 0.752 0.308
0.500 0.250 0.500
0.000 0.250 0.000
0.500 0.750 0.500
0.000 0.750 0.000
0.905 0.000 0.325
0.904 0.500 0.314
0.405 0.000 0.175
0.404 0.500 0.186
0.095 0.000 0.675
0.595 0.000 0.825
0.596 0.500 0.814
0.096 0.500 0.686
```


6.
DFT (PBE) results for KHg5Cl11 after structural relaxation.

* volume: 31.36 A^3/atom
* symmetry: C2/m, No. 12
* DFT total energy: -2.1116 eV per atom

```
KHg5Cl11
1.0
-3.742 -0.005 8.901
-0.995 -9.327 -2.290
4.020 -3.548 3.943
Hg Cl K
5 11 1
direct
0.647 0.984 0.687
0.984 0.647 0.687
0.353 0.016 0.313
0.016 0.353 0.313
0.500 0.500 0.000
0.298 0.860 0.695
0.168 0.417 0.929
0.649 0.649 0.610
0.583 0.832 0.071
0.351 0.351 0.390
0.702 0.140 0.305
0.000 0.000 0.500
0.860 0.298 0.695
0.140 0.702 0.305
0.832 0.583 0.071
0.417 0.168 0.929
0.000 0.000 0.000
```


7.
DFT (PBE) results for K2HgCl4 after structural relaxation.

* size of the total moment: 0.00 Bohr magnetons per cell
* volume: 36.38 A^3/atom
* symmetry: Pnma, No. 62
* DFT total energy: -2.7484 eV per atom

```
K2HgCl4
1.0
8.119 0.000 0.000
0.000 9.192 0.000
0.000 0.000 13.649
Cl Hg K
16 4 8
direct
0.774 0.001 0.696
0.726 0.499 0.196
0.774 0.499 0.696
0.749 0.250 0.954
0.751 0.250 0.454
0.755 0.750 0.932
0.226 0.999 0.304
0.245 0.250 0.068
0.249 0.750 0.546
0.255 0.250 0.568
0.251 0.750 0.046
0.274 0.999 0.804
0.226 0.501 0.304
0.745 0.750 0.432
0.726 0.001 0.196
0.274 0.501 0.804
0.775 0.750 0.733
0.275 0.250 0.767
0.725 0.750 0.233
0.225 0.250 0.267
0.000 0.500 0.500
0.000 0.000 0.000
0.000 0.500 0.000
0.000 0.000 0.500
0.500 0.000 0.500
0.500 0.500 0.500
0.500 0.000 0.000
0.500 0.500 0.000
```


8.
DFT (PBE) results for K3Hg3S2Cl5O6 after structural relaxation.

* size of the total moment: 0.02 Bohr magnetons per cell
* volume: 23.14 A^3/atom
* symmetry: Pnma, No. 62
* DFT total energy: -3.9703 eV per atom

```
K3Hg3S2Cl5O6
1.0
6.139 0.000 0.000
0.000 12.587 0.000
0.000 0.000 22.758
O K S Hg Cl
24 12 8 12 20
direct
0.450 0.725 0.424
0.050 0.013 0.424
0.750 0.439 0.552
0.750 0.671 0.044
0.550 0.513 0.076
0.950 0.987 0.576
0.450 0.487 0.924
0.750 0.829 0.544
0.950 0.225 0.076
0.950 0.275 0.576
0.250 0.561 0.448
0.250 0.329 0.956
0.450 0.775 0.924
0.250 0.939 0.948
0.950 0.513 0.076
0.550 0.987 0.576
0.750 0.061 0.052
0.550 0.225 0.076
0.550 0.275 0.576
0.050 0.775 0.924
0.050 0.487 0.924
0.450 0.013 0.424
0.050 0.725 0.424
0.250 0.171 0.456
0.250 0.126 0.998
0.250 0.131 0.633
0.250 0.374 0.498
0.750 0.134 0.490
0.250 0.866 0.510
0.750 0.874 0.002
0.250 0.369 0.133
0.250 0.634 0.010
0.750 0.366 0.990
0.750 0.631 0.867
0.750 0.626 0.502
0.750 0.869 0.367
0.750 0.578 0.084
0.750 0.340 0.587
0.250 0.660 0.413
0.250 0.422 0.916
0.750 0.922 0.584
0.750 0.160 0.087
0.250 0.078 0.416
0.250 0.840 0.913
0.750 0.859 0.686
0.250 0.874 0.188
0.750 0.387 0.691
0.750 0.126 0.812
0.250 0.626 0.688
0.250 0.613 0.309
0.250 0.887 0.809
0.250 0.359 0.814
0.250 0.141 0.314
0.750 0.374 0.312
0.750 0.641 0.186
0.750 0.113 0.191
0.250 0.611 0.200
0.750 0.867 0.796
0.750 0.372 0.416
0.250 0.133 0.204
0.250 0.889 0.700
0.250 0.872 0.084
0.750 0.111 0.300
0.750 0.870 0.191
0.750 0.127 0.708
0.250 0.370 0.309
0.750 0.630 0.691
0.250 0.628 0.584
0.250 0.873 0.292
0.250 0.130 0.809
0.750 0.373 0.208
0.250 0.367 0.704
0.750 0.128 0.916
0.750 0.633 0.296
0.750 0.389 0.800
0.250 0.627 0.792
```